The following is a PBE calculation of crystalline Bi2C3Br9N9 at its relaxed geometry, from Materials Project.

The structure in extended XYZ format:
```
46
Lattice="7.755 0.000 0.000 0.000 20.642 0.000 -2.349 0.000 8.189" Properties=species:S:1:pos:R:3 pbc="T T T"
Bi 0.708 3.206 1.711
Bi 0.708 7.115 1.711
Bi 4.698 13.527 6.478
Bi 4.698 17.436 6.478
C 1.517 12.125 3.079
C 1.517 18.838 3.079
C 2.714 15.481 0.920
C 2.692 5.160 7.269
C 3.889 1.804 5.110
C 3.889 8.517 5.110
Br -1.335 15.481 4.857
Br -1.718 5.160 7.808
Br -0.986 11.925 7.093
Br -0.986 19.038 7.093
Br 1.102 1.787 4.889
Br 1.102 8.533 4.889
Br 2.539 1.703 0.477
Br 2.539 8.618 0.477
Br 2.815 5.160 2.763
Br 2.591 15.481 5.426
Br 2.867 12.024 7.711
Br 2.867 18.939 7.711
Br 4.304 12.108 3.299
Br 4.304 18.854 3.299
Br 6.392 1.604 1.095
Br 6.392 8.717 1.095
Br 7.124 15.481 0.381
Br 6.741 5.160 3.332
N 0.393 12.020 2.357
N 0.393 18.943 2.357
N 0.380 15.481 7.904
N 2.113 15.481 2.233
N 1.567 12.378 4.392
N 1.567 18.585 4.392
N 2.702 11.951 2.335
N 2.702 19.011 2.335
N 2.053 5.160 5.892
N 3.353 15.481 2.296
N 2.704 1.630 5.854
N 2.704 8.690 5.854
N 3.839 2.057 3.796
N 3.839 8.264 3.796
N 3.293 5.160 5.955
N 5.026 5.160 0.285
N 5.013 1.699 5.832
N 5.013 8.622 5.832
```

Computed properties:
- total energy after the MP2020 corrections (eV/cell) = -222.320
- space-group type = P2_1/m, No. 11
- formation energy (eV/atom) = 0.612